1.
First-principles (r²SCAN) data for a geometry-optimized LiGdGe structure, as listed in the Materials Project database.

Calculated values
The crystal system is hexagonal. Its total energy is -185.89 eV per cell. The value obtained for the formation energy is -769 meV per atom.

Unit cell a=7.1350 b=7.1350 c=4.2764 alpha=90.00 beta=90.00 gamma=120.00
Space group P-62m (No. 189)
One atom of each set of equivalent atoms:
1 Li 0.0000 0.2326 0.0000 [3 per cell]
2 Gd 0.0000 0.5777 0.5000 [3 per cell]
3 Ge 0.0000 0.0000 0.5000 [1 per cell]
4 Ge 0.3333 0.6667 0.0000 [2 per cell]

=====

2.
First-principles (r²SCAN) data for a geometry-optimized Li2BPt3 structure, as listed in the Materials Project database.

Calculated values
The crystal system is cubic. Its total energy is -681.32 eV per cell. The value obtained for the formation energy is -624 meV per atom.

Unit cell a=6.792 b=6.792 c=6.792 alpha=90.00 beta=90.00 gamma=90.00
Space group P4_332 (No. 212)
One atom of each set of equivalent atoms:
1 Li 0.053 0.447 0.553 [8 per cell]
2 B 0.125 0.875 0.375 [4 per cell]
3 Pt 0.063 0.625 0.187 [12 per cell]

=====

3.
First-principles (r²SCAN) data for a geometry-optimized HfGaRh2 structure, as listed in the Materials Project database.

Calculated values
The crystal system is cubic. Its total energy is -434.85 eV per cell. The value obtained for the formation energy is -961 meV per atom.

Unit cell a=6.253 b=6.253 c=6.253 alpha=90.00 beta=90.00 gamma=90.00
Space group Fm-3m (No. 225)
One atom of each set of equivalent atoms:
1 Hf 0.000 0.000 0.000 [4 per cell]
2 Ga 0.000 0.000 0.500 [4 per cell]
3 Rh 0.250 0.250 0.250 [8 per cell]

=====

4.
First-principles (r²SCAN) data for a geometry-optimized UMn2 structure, as listed in the Materials Project database.

Calculated values
The crystal system is cubic. Its total energy is -875.94 eV per cell. The value obtained for the formation energy is -61 meV per atom.

Unit cell a=7.310 b=7.310 c=7.310 alpha=90.00 beta=90.00 gamma=90.00
Space group Fd-3m (No. 227, origin choice 2)
One atom of each set of equivalent atoms:
1 U 0.125 0.125 0.125 [8 per cell]
2 Mn 0.000 0.000 0.500 [16 per cell]

=====

5.
First-principles (r²SCAN) data for a geometry-optimized Nb6InSe8 structure, as listed in the Materials Project database.

Calculated values
The crystal system is hexagonal. Its total energy is -299.40 eV per cell. The value obtained for the formation energy is -928 meV per atom.

Unit cell a=10.1867 b=10.1867 c=3.4943 alpha=90.00 beta=90.00 gamma=120.00
Space group P-6 (No. 174)
One atom of each set of equivalent atoms:
1 Nb 0.0502 0.8214 0.0000 [3 per cell]
2 Nb 0.1530 0.4381 0.5000 [3 per cell]
3 In 0.6667 0.3333 0.5000 [1 per cell]
4 Se 0.0000 0.0000 0.5000 [1 per cell]
5 Se 0.0079 0.6151 0.5000 [3 per cell]
6 Se 0.3268 0.0535 0.0000 [3 per cell]
7 Se 0.3333 0.6667 0.0000 [1 per cell]

=====

6.
First-principles (r²SCAN) data for a geometry-optimized CeIn5Co structure, as listed in the Materials Project database.

Calculated values
The crystal system is tetragonal. Its total energy is -159.25 eV per cell. The value obtained for the formation energy is -326 meV per atom.

Unit cell a=4.612 b=4.612 c=7.536 alpha=90.00 beta=90.00 gamma=90.00
Space group P4/mmm (No. 123)
One atom of each set of equivalent atoms:
1 Ce 0.000 0.000 0.000 [1 per cell]
2 In 0.000 0.500 0.310 [4 per cell]
3 In 0.500 0.500 0.000 [1 per cell]
4 Co 0.000 0.000 0.500 [1 per cell]

=====

7.
First-principles (r²SCAN) data for a geometry-optimized YbSnIr structure, as listed in the Materials Project database.

Calculated values
The crystal system is hexagonal. Its total energy is -349.55 eV per cell. The value obtained for the formation energy is -960 meV per atom.

Unit cell a=7.4794 b=7.4794 c=3.7738 alpha=90.00 beta=90.00 gamma=120.00
Space group P-62m (No. 189)
One atom of each set of equivalent atoms:
1 Yb 0.0000 0.4027 0.0000 [3 per cell]
2 Sn 0.0000 0.7346 0.5000 [3 per cell]
3 Ir 0.0000 0.0000 0.0000 [1 per cell]
4 Ir 0.3333 0.6667 0.5000 [2 per cell]

=====

8.
First-principles (r²SCAN) data for a geometry-optimized CaNi5 structure, as listed in the Materials Project database.

Calculated values
The crystal system is hexagonal. Its total energy is -67.38 eV per cell. The value obtained for the formation energy is -72 meV per atom.

Unit cell a=4.8749 b=4.8749 c=3.8951 alpha=90.00 beta=90.00 gamma=120.00
Space group P6/mmm (No. 191)
One atom of each set of equivalent atoms:
1 Ca 0.0000 0.0000 0.0000 [1 per cell]
2 Ni 0.0000 0.5000 0.5000 [3 per cell]
3 Ni 0.3333 0.6667 0.0000 [2 per cell]

=====

Q: Among the records above, which one has the lowest formation energy?
A: HfGaRh2

=====

Q: What is the formation energy in the seventh record?
A: -960 meV per atom

=====

Q: Look up the formation energy of the second one.
A: -624 meV per atom